Compound: TmZn5
Source: Materials Project
Functional: r²SCAN
Structure: relaxed

Its calculated volume is 16.31 A^3/atom. Its formation energy is -1.8 eV/f.u.

It has space group P6_3/mmc (No. 194), with a = 8.7370 Å, b = 8.7370 Å, c = 8.8839 Å, α = 90.00°, β = 90.00° and γ = 120.00°. Symmetry generates all atoms from Tm at (0.1902, 0.3804, 0.2500), Zn at (0.0000, 0.0000, 0.0000), Zn at (0.0000, 0.5000, 0.0000), Zn at (0.1352, 0.5676, 0.7500), Zn at (0.1603, 0.3205, 0.5932) and Zn at (0.3333, 0.6667, 0.0158).

***

Compound: TmZn2
Source: Materials Project
Functional: r²SCAN
Structure: relaxed

Its calculated volume is 18.87 A^3/atom. Its formation energy is -1.3 eV/f.u.

It has space group Imma (No. 74), with a = 4.387 Å, b = 6.902 Å, c = 7.477 Å, α = 90.00°, β = 90.00° and γ = 90.00°. Symmetry generates all atoms from Tm at (0.000, 0.250, 0.030) and Zn at (0.000, 0.043, 0.666).

***

Compound: Yb3U
Source: Materials Project
Functional: r²SCAN
Structure: relaxed

Its calculated volume is 29.10 A^3/atom. Its formation energy is 1.4 eV/f.u. The value obtained for the energy relative to the lowest polymorph listed for this composition is 0.113 eV per atom.

It has space group Fm-3m (No. 225), with a = 7.751 Å, b = 7.751 Å, c = 7.751 Å, α = 90.00°, β = 90.00° and γ = 90.00°. Symmetry generates all atoms from Yb at (0.000, 0.000, 0.000), Yb at (0.250, 0.250, 0.250) and U at (0.000, 0.000, 0.500).

***

Compound: Yb3U
Source: Materials Project
Functional: r²SCAN
Structure: relaxed

Its calculated volume is 28.77 A^3/atom. Its formation energy is 0.9 eV/f.u. The value obtained for the energy relative to the lowest polymorph listed for this composition is 0.000 eV per atom.

It has space group I4/mmm (No. 139), with a = 4.879 Å, b = 4.879 Å, c = 9.668 Å, α = 90.00°, β = 90.00° and γ = 90.00°. Symmetry generates all atoms from Yb at (0.000, 0.000, 0.000), Yb at (0.000, 0.500, 0.250) and U at (0.000, 0.000, 0.500).

***

Compound: U2Zn17
Source: Materials Project
Functional: r²SCAN
Structure: relaxed

Its calculated volume is 15.63 A^3/atom. Its formation energy is -2.7 eV/f.u.

It has space group R-3m (No. 166, hexagonal axes), with a = 8.9101 Å, b = 8.9101 Å, c = 12.9551 Å, α = 90.00°, β = 90.00° and γ = 120.00°. Symmetry generates all atoms from U at (0.0000, 0.0000, 0.1624), Zn at (0.0000, 0.0000, 0.3999), Zn at (0.0000, 0.2944, 0.5000), Zn at (0.0000, 0.5000, 0.0000) and Zn at (0.0069, 0.5034, 0.6527).

***

Compound: VW3
Source: Materials Project
Functional: r²SCAN
Structure: relaxed

Its calculated volume is 15.26 A^3/atom. Its formation energy is -0.3 eV/f.u.

It has space group Fm-3m (No. 225), with a = 6.250 Å, b = 6.250 Å, c = 6.250 Å, α = 90.00°, β = 90.00° and γ = 90.00°. Symmetry generates all atoms from V at (0.000, 0.000, 0.000), W at (0.000, 0.000, 0.500) and W at (0.250, 0.250, 0.250).